Entry 1:
A plane-wave DFT calculation with meta-GGA r2SCAN was carried out for crystalline Ba2CdIn at its relaxed geometry.

Unit cell a=6.021 b=6.021 c=6.021 alpha=60.00 beta=60.00 gamma=60.00
Sites, in units of the cell vectors:
In  0.000  0.000  0.000
Cd  0.500  0.500  0.500
Ba  0.750  0.750  0.750
Ba  0.250  0.250  0.250

magnetic moment	0.0	μB per cell
E_form	-0.400	eV per atom
E_tot	-97.28	eV for the cell shown



Entry 2:
A plane-wave DFT calculation with meta-GGA r2SCAN was carried out for crystalline Rb2CrCl4 at its relaxed geometry.

Unit cell a=5.032 b=5.032 c=8.675 alpha=73.80 beta=73.80 gamma=89.99
Sites, in units of the cell vectors:
Cl  0.000  0.500  0.000
Cl  0.854  0.854  0.307
Rb  0.635  0.635  0.720
Cl  0.500  0.000  0.000
Rb  0.365  0.365  0.280
Cr  0.000  0.000  0.000
Cl  0.146  0.146  0.693

offset from the most stable computed form	0.007	eV per atom
magnetic moment	4.0	μB per cell
E_form	-1.845	eV per atom
E_tot	-80.46	eV for the cell shown



Entry 3:
A plane-wave DFT calculation with meta-GGA r2SCAN was carried out for crystalline InNi3 at its relaxed geometry.

Unit cell a=5.292 b=5.292 c=4.181 alpha=90.00 beta=90.00 gamma=120.00
Sites, in units of the cell vectors:
Ni  0.844  0.689  0.250
Ni  0.156  0.311  0.750
Ni  0.156  0.844  0.750
Ni  0.689  0.844  0.750
Ni  0.311  0.156  0.250
Ni  0.844  0.156  0.250
In  0.333  0.667  0.250
In  0.667  0.333  0.750

magnetic moment	1.8	μB per cell
E_form	-0.048	eV per atom
E_tot	-117.43	eV for the cell shown



Entry 4:
A plane-wave DFT calculation with meta-GGA r2SCAN was carried out for crystalline NbTe4Ir at its relaxed geometry.

Unit cell a=3.808 b=12.680 c=13.916 alpha=90.00 beta=90.00 gamma=90.00
Sites, in units of the cell vectors:
Te  0.000  0.348  0.092
Te  0.500  0.150  0.604
Nb  0.000  0.269  0.491
Nb  0.000  0.054  0.005
Te  0.500  0.588  0.130
Te  0.000  0.890  0.641
Ir  0.500  0.465  0.499
Te  0.000  0.564  0.401
Te  0.500  0.652  0.592
Te  0.000  0.065  0.394
Te  0.000  0.195  0.863
Te  0.000  0.850  0.104
Te  0.000  0.412  0.630
Ir  0.000  0.751  0.494
Te  0.500  0.325  0.355
Nb  0.500  0.731  0.991
Te  0.500  0.805  0.363
Te  0.000  0.675  0.855
Te  0.500  0.436  0.901
Ir  0.500  0.249  0.994
Te  0.500  0.110  0.141
Ir  0.000  0.535  0.999
Te  0.500  0.935  0.894
Nb  0.500  0.946  0.505

magnetic moment	0.0	μB per cell
E_form	-0.483	eV per atom
E_tot	-726.64	eV for the cell shown



Entry 5:
A plane-wave DFT calculation with meta-GGA r2SCAN was carried out for crystalline Er3Pt4 at its relaxed geometry.

Unit cell a=5.670 b=7.754 c=7.758 alpha=114.33 beta=104.13 gamma=104.11
Sites, in units of the cell vectors:
Er  0.027  0.622  0.748
Pt  0.500  0.000  0.000
Pt  0.938  0.166  0.490
Pt  0.000  0.000  0.000
Er  0.405  0.126  0.378
Pt  0.448  0.510  0.676
Er  0.279  0.252  0.874
Pt  0.552  0.490  0.324
Er  0.973  0.378  0.252
Er  0.721  0.748  0.126
Pt  0.228  0.676  0.166
Er  0.595  0.874  0.622
Pt  0.062  0.834  0.510
Pt  0.772  0.324  0.834

magnetic moment	0.0	μB per cell
E_form	-1.373	eV per atom
E_tot	-634.68	eV for the cell shown



Entry 6:
A plane-wave DFT calculation with meta-GGA r2SCAN was carried out for crystalline GdCdHg2 at its relaxed geometry.

Unit cell a=5.088 b=5.088 c=5.088 alpha=60.00 beta=60.00 gamma=60.00
Sites, in units of the cell vectors:
Gd  0.500  0.500  0.500
Hg  0.250  0.250  0.250
Hg  0.750  0.750  0.750
Cd  0.000  0.000  0.000

magnetic moment	7.0	μB per cell
E_form	-0.410	eV per atom
E_tot	-163.88	eV for the cell shown



Entry 7:
A plane-wave DFT calculation with meta-GGA r2SCAN was carried out for crystalline TcO2 at its relaxed geometry.

Unit cell a=2.740 b=4.795 c=4.795 alpha=90.00 beta=90.00 gamma=89.99
Sites, in units of the cell vectors:
O  0.500  0.716  0.284
Tc  0.000  0.500  0.500
Tc  0.500  0.000  0.000
O  0.500  0.284  0.716
O  0.000  0.216  0.216
O  0.000  0.784  0.784

offset from the most stable computed form	0.079	eV per atom
magnetic moment	0.0	μB per cell
E_form	-1.603	eV per atom
E_tot	-85.44	eV for the cell shown



Entry 8:
A plane-wave DFT calculation with meta-GGA r2SCAN was carried out for crystalline Lu2O3 at its relaxed geometry.

Unit cell a=3.532 b=3.532 c=5.699 alpha=90.00 beta=90.00 gamma=120.00
Sites, in units of the cell vectors:
O  0.667  0.333  0.354
O  0.333  0.667  0.646
Lu  0.667  0.333  0.750
O  0.000  0.000  0.000
Lu  0.333  0.667  0.250

magnetic moment	0.0	μB per cell
E_form	-3.978	eV per atom
E_tot	-113.97	eV for the cell shown



Entry 9:
A plane-wave DFT calculation with meta-GGA r2SCAN was carried out for crystalline Nd2ZrSe5 at its relaxed geometry.

Unit cell a=7.738 b=8.317 c=12.255 alpha=90.00 beta=90.00 gamma=90.00
Sites, in units of the cell vectors:
Se  0.164  0.536  0.912
Se  0.661  0.250  0.318
Zr  0.577  0.750  0.507
Se  0.446  0.250  0.996
Se  0.836  0.036  0.088
Zr  0.923  0.750  0.007
Se  0.836  0.464  0.088
Se  0.054  0.250  0.496
Zr  0.423  0.250  0.493
Zr  0.077  0.250  0.993
Se  0.839  0.250  0.818
Nd  0.531  0.502  0.823
Se  0.339  0.750  0.682
Se  0.681  0.750  0.293
Se  0.946  0.750  0.504
Nd  0.469  0.498  0.177
Se  0.664  0.036  0.588
Nd  0.969  0.998  0.323
Se  0.181  0.250  0.207
Nd  0.531  0.998  0.823
Se  0.161  0.750  0.182
Se  0.664  0.464  0.588
Nd  0.031  0.002  0.677
Se  0.819  0.750  0.793
Se  0.554  0.750  0.004
Se  0.319  0.250  0.707
Se  0.164  0.964  0.912
Nd  0.031  0.498  0.677
Se  0.336  0.964  0.412
Nd  0.969  0.502  0.323
Se  0.336  0.536  0.412
Nd  0.469  0.002  0.177

magnetic moment	0.0	μB per cell
E_form	-1.984	eV per atom
E_tot	-676.06	eV for the cell shown



Entry 10:
A plane-wave DFT calculation with meta-GGA r2SCAN was carried out for crystalline Tl2CN2 at its relaxed geometry.

Unit cell a=5.323 b=6.854 c=9.851 alpha=99.24 beta=98.54 gamma=112.29
Sites, in units of the cell vectors:
Tl  0.113  0.924  0.677
Tl  0.177  0.808  0.045
N  0.589  0.243  0.710
Tl  0.887  0.076  0.323
N  0.411  0.757  0.290
Tl  0.405  0.531  0.684
C  0.761  0.221  0.645
N  0.058  0.801  0.413
N  0.942  0.199  0.587
C  0.500  0.500  0.000
Tl  0.595  0.469  0.316
C  0.239  0.779  0.355
Tl  0.823  0.192  0.955
N  0.719  0.510  0.070
N  0.281  0.490  0.930

magnetic moment	0.0	μB per cell
E_form	0.054	eV per atom
E_tot	-402.89	eV for the cell shown



Entry 11:
A plane-wave DFT calculation with meta-GGA r2SCAN was carried out for crystalline K6Ti2O7 at its relaxed geometry.

Unit cell a=9.273 b=6.556 c=11.331 alpha=56.58 beta=90.00 gamma=90.00
Sites, in units of the cell vectors:
O  0.500  0.500  0.500
K  0.796  0.589  0.781
O  0.802  0.502  0.572
K  0.704  0.589  0.281
O  0.698  0.502  0.072
O  0.825  0.035  0.133
Ti  0.645  0.308  0.633
Ti  0.145  0.692  0.867
O  0.198  0.498  0.428
O  0.000  0.500  0.000
K  0.344  0.058  0.568
K  0.844  0.942  0.932
K  0.656  0.942  0.432
O  0.403  0.764  0.194
O  0.675  0.035  0.633
O  0.175  0.965  0.867
K  0.527  0.206  0.043
O  0.903  0.236  0.306
K  0.973  0.206  0.543
O  0.325  0.965  0.367
K  0.473  0.794  0.957
O  0.302  0.498  0.928
O  0.097  0.764  0.694
K  0.296  0.411  0.719
K  0.156  0.058  0.068
K  0.027  0.794  0.457
K  0.204  0.411  0.219
Ti  0.855  0.308  0.133
O  0.597  0.236  0.806
Ti  0.355  0.692  0.367

magnetic moment	0.0	μB per cell
E_form	-2.420	eV per atom
E_tot	-280.20	eV for the cell shown



Entry 12:
A plane-wave DFT calculation with meta-GGA r2SCAN was carried out for crystalline Nd8Sb2S15 at its relaxed geometry.

Unit cell a=14.902 b=14.902 c=14.902 alpha=116.44 beta=116.44 gamma=96.29
Sites, in units of the cell vectors:
S  0.800  0.623  0.490
Sb  0.617  0.298  0.113
S  0.197  0.710  0.831
S  0.667  0.280  0.692
Nd  0.706  0.362  0.930
Nd  0.893  0.400  0.794
S  0.582  0.473  0.816
Nd  0.849  0.143  0.993
S  0.132  0.310  0.510
S  0.879  0.366  0.169
S  0.478  0.282  0.849
Nd  0.298  0.168  0.829
Nd  0.798  0.969  0.130
S  0.657  0.766  0.184
Nd  0.532  0.665  0.827
S  0.223  0.077  0.200
S  0.697  0.866  0.487
S  0.530  0.417  0.192
Nd  0.918  0.589  0.370
S  0.223  0.907  0.391
Nd  0.339  0.469  0.171
S  0.560  0.882  0.010
Nd  0.338  0.165  0.133
S  0.460  0.129  0.013
S  0.060  0.050  0.677
S  0.250  0.250  0.000
S  0.032  0.683  0.305
S  0.632  0.123  0.823
S  0.167  0.475  0.387
S  0.960  0.947  0.331
Nd  0.838  0.705  0.173
S  0.750  0.750  0.000
Nd  0.106  0.900  0.507
Sb  0.254  0.867  0.819
Sb  0.754  0.935  0.387
Nd  0.206  0.276  0.344
Sb  0.117  0.004  0.319
S  0.877  0.024  0.800
S  0.000  0.500  0.500
Nd  0.026  0.182  0.570
S  0.379  0.210  0.513
S  0.327  0.973  0.700
S  0.016  0.407  0.684
S  0.373  0.382  0.323
Nd  0.432  0.776  0.070
S  0.873  0.550  0.990
Nd  0.455  0.782  0.367
S  0.378  0.965  0.092
Nd  0.393  0.599  0.493
S  0.500  0.000  0.500
Nd  0.606  0.099  0.206
Sb  0.685  0.798  0.681
S  0.616  0.629  0.669
S  0.225  0.338  0.808
Sb  0.048  0.435  0.181
S  0.516  0.832  0.609
S  0.030  0.838  0.113
S  0.116  0.447  0.987
Nd  0.219  0.548  0.630
S  0.878  0.786  0.413
Nd  0.112  0.682  0.156
S  0.373  0.465  0.587
S  0.774  0.473  0.647
S  0.536  0.623  0.408
Nd  0.150  0.856  0.007
S  0.082  0.266  0.109
S  0.036  0.628  0.913
Nd  0.915  0.282  0.327
S  0.215  0.128  0.592
S  0.873  0.286  0.908
S  0.433  0.629  0.151
S  0.978  0.129  0.195
S  0.723  0.332  0.316
Nd  0.839  0.668  0.870
S  0.723  0.524  0.147
S  0.827  0.127  0.353
Nd  0.415  0.088  0.633
Nd  0.932  0.862  0.656
S  0.588  0.975  0.308
Nd  0.955  0.588  0.673
Nd  0.526  0.956  0.844
S  0.532  0.228  0.349
Nd  0.719  0.089  0.671
S  0.879  0.183  0.651
S  0.300  0.810  0.177
S  0.715  0.123  0.087
Nd  0.418  0.048  0.329
S  0.274  0.627  0.300
Nd  0.032  0.205  0.867
S  0.933  0.782  0.805
S  0.379  0.728  0.695
Nd  0.349  0.356  0.706
Sb  0.548  0.367  0.613
Nd  0.612  0.456  0.430
Nd  0.650  0.643  0.294
S  0.088  0.780  0.613
S  0.725  0.917  0.887
S  0.377  0.577  0.853
S  0.157  0.973  0.891
Sb  0.185  0.504  0.887

magnetic moment	0.0	μB per cell
E_form	-1.963	eV per atom
E_tot	-1825.34	eV for the cell shown



Entry 13:
A plane-wave DFT calculation with meta-GGA r2SCAN was carried out for crystalline Rb2MgCl4 at its relaxed geometry.

Unit cell a=4.990 b=4.990 c=8.840 alpha=106.39 beta=106.39 gamma=90.00
Sites, in units of the cell vectors:
Rb  0.643  0.643  0.286
Cl  0.155  0.155  0.310
Cl  0.500  0.000  0.000
Rb  0.357  0.357  0.714
Mg  0.000  0.000  0.000
Cl  0.000  0.500  0.000
Cl  0.845  0.845  0.690

magnetic moment	0.0	μB per cell
E_form	-2.167	eV per atom
E_tot	-71.81	eV for the cell shown



Entry 14:
A plane-wave DFT calculation with meta-GGA r2SCAN was carried out for crystalline K4GaAu8 at its relaxed geometry.

Unit cell a=10.890 b=10.890 c=11.050 alpha=83.08 beta=83.08 gamma=30.23
Sites, in units of the cell vectors:
Au  0.000  0.000  0.000
Au  0.500  0.500  0.500
Au  0.648  0.148  0.633
Au  0.148  0.648  0.633
Au  0.624  0.624  0.573
K  0.224  0.224  0.593
Ga  0.674  0.674  0.763
Ga  0.326  0.326  0.237
Au  0.121  0.644  0.079
Au  0.852  0.352  0.367
Au  0.791  0.791  0.733
Au  0.376  0.376  0.427
Au  0.879  0.356  0.921
K  0.514  0.514  0.166
K  0.486  0.486  0.834
K  0.285  0.285  0.898
Au  0.099  0.099  0.148
K  0.046  0.046  0.657
Au  0.356  0.879  0.921
Au  0.901  0.901  0.852
K  0.715  0.715  0.102
K  0.776  0.776  0.407
Au  0.352  0.852  0.367
K  0.954  0.954  0.343
Au  0.644  0.121  0.079
Au  0.209  0.209  0.267

magnetic moment	0.0	μB per cell
E_form	-0.391	eV per atom
E_tot	-890.55	eV for the cell shown